# Mn3V2Ga2Co (PBE, optimized geometry)
data_Mn3V2Ga2Co
_cell_length_a 4.0867
_cell_length_b 4.0867
_cell_length_c 20.0396
_cell_angle_alpha 90.00
_cell_angle_beta 90.00
_cell_angle_gamma 120.00
_space_group_name_H-M_alt 'R 3 m'
_space_group_IT_number 160
_space_group_name_Hall 'R 3 -2"'
loop_
_atom_site_label
_atom_site_fract_x
_atom_site_fract_y
_atom_site_fract_z
_atom_site_occupancy
Mn1 0.0000 0.0000 0.0000 1
Mn2 0.0000 0.0000 0.2503 1
Mn3 0.0000 0.0000 0.5010 1
V1 0.0000 0.0000 0.3743 1
V2 0.0000 0.0000 0.8763 1
Ga1 0.0000 0.0000 0.1247 1
Ga2 0.0000 0.0000 0.6261 1
Co1 0.0000 0.0000 0.7504 1
# calculated formation energy = -0.258 eV/atom
# DFT total energy = -182.66 eV per cell
# theoretical density = 8.0 g/cm³
# M_tot = 2.0 μB per formula unit


# HoCo5 (PBE, optimized geometry)
data_HoCo5
_cell_length_a 4.9068
_cell_length_b 4.9068
_cell_length_c 3.9488
_cell_angle_alpha 90.00
_cell_angle_beta 90.00
_cell_angle_gamma 120.00
_space_group_name_H-M_alt 'P 6/m m m'
_space_group_IT_number 191
_space_group_name_Hall '-P 6 2'
loop_
_atom_site_label
_atom_site_fract_x
_atom_site_fract_y
_atom_site_fract_z
_atom_site_occupancy
Ho1 0.0000 0.0000 0.0000 1
Co1 0.0000 0.5000 0.5000 1
Co2 0.3333 0.6667 0.0000 1
# calculated formation energy = -0.118 eV/atom
# DFT total energy = -40.83 eV per cell
# theoretical density = 9.3 g/cm³


# TaTiBe4 (PBE, optimized geometry)
data_TaTiBe4
_cell_length_a 6.460
_cell_length_b 6.460
_cell_length_c 6.460
_cell_angle_alpha 90.00
_cell_angle_beta 90.00
_cell_angle_gamma 90.00
_space_group_name_H-M_alt 'F -4 3 m'
_space_group_IT_number 216
_space_group_name_Hall 'F -4 2 3'
loop_
_atom_site_label
_atom_site_fract_x
_atom_site_fract_y
_atom_site_fract_z
_atom_site_occupancy
Ta1 0.000 0.000 0.000 1
Ti1 0.250 0.250 0.250 1
Be1 0.125 0.125 0.625 1
# calculated formation energy = -0.161 eV/atom
# DFT total energy = -142.71 eV per cell
# theoretical density = 6.5 g/cm³
# M_tot = 1.2 μB per formula unit


# LiCoN (PBE, optimized geometry)
data_LiCoN
_cell_length_a 9.964
_cell_length_b 2.841
_cell_length_c 4.224
_cell_angle_alpha 90.00
_cell_angle_beta 90.00
_cell_angle_gamma 90.00
_space_group_name_H-M_alt 'P n m a'
_space_group_IT_number 62
loop_
_space_group_symop_operation_xyz
'x,y,z'
'-x,-y,-z'
'-x+1/2,-y,z+1/2'
'x+1/2,y,-z+1/2'
'x+1/2,-y+1/2,-z+1/2'
'-x+1/2,y+1/2,z+1/2'
'-x,y+1/2,-z'
'x,-y+1/2,z'
loop_
_atom_site_label
_atom_site_fract_x
_atom_site_fract_y
_atom_site_fract_z
_atom_site_occupancy
Li1 0.053 0.250 0.210 1
Co1 0.216 0.250 0.725 1
N1 0.144 0.750 0.933 1
# calculated formation energy = -0.381 eV/atom
# DFT total energy = -72.54 eV per cell
# theoretical density = 4.4 g/cm³


# K2ErPCO7 (PBE, optimized geometry)
data_K2ErPCO7
_cell_length_a 5.774
_cell_length_b 7.122
_cell_length_c 9.854
_cell_angle_alpha 90.00
_cell_angle_beta 92.00
_cell_angle_gamma 90.00
_space_group_name_H-M_alt 'P 1 21/m 1'
_space_group_IT_number 11
loop_
_space_group_symop_operation_xyz
'x,y,z'
'-x,-y,-z'
'-x,y+1/2,-z'
'x,-y+1/2,z'
loop_
_atom_site_label
_atom_site_fract_x
_atom_site_fract_y
_atom_site_fract_z
_atom_site_occupancy
K1 0.244 0.012 0.227 1
Er1 0.222 0.250 0.636 1
P1 0.289 0.750 0.571 1
C1 0.271 0.250 0.913 1
O1 0.065 0.250 0.850 1
O2 0.147 0.750 0.433 1
O3 0.230 0.569 0.651 1
O4 0.299 0.250 0.040 1
O5 0.446 0.250 0.458 1
O6 0.448 0.250 0.830 1
# calculated formation energy = -2.795 eV/atom
# DFT total energy = -169.59 eV per cell
# theoretical density = 3.3 g/cm³
# M_tot = 0.0 μB per formula unit


# IrN4Cl6 (PBE, optimized geometry)
data_IrN4Cl6
_cell_length_a 7.783
_cell_length_b 7.783
_cell_length_c 10.954
_cell_angle_alpha 90.00
_cell_angle_beta 90.00
_cell_angle_gamma 90.00
_space_group_name_H-M_alt 'I 4 m m'
_space_group_IT_number 107
_space_group_name_Hall 'I 4 -2'
loop_
_atom_site_label
_atom_site_fract_x
_atom_site_fract_y
_atom_site_fract_z
_atom_site_occupancy
Ir1 0.000 0.000 0.000 1
N1 0.000 0.429 0.282 1
Cl1 0.000 0.000 0.208 1
Cl2 0.000 0.000 0.789 1
Cl3 0.210 0.210 0.002 1
# calculated formation energy = -0.450 eV/atom
# DFT total energy = -109.09 eV per cell
# theoretical density = 2.3 g/cm³


# AuN (PBE, optimized geometry)
data_AuN
_cell_length_a 4.982
_cell_length_b 4.982
_cell_length_c 4.982
_cell_angle_alpha 90.00
_cell_angle_beta 90.00
_cell_angle_gamma 90.00
_space_group_name_H-M_alt 'F -4 3 m'
_space_group_IT_number 216
_space_group_name_Hall 'F -4 2 3'
loop_
_atom_site_label
_atom_site_fract_x
_atom_site_fract_y
_atom_site_fract_z
_atom_site_occupancy
Au1 0.000 0.000 0.000 1
N1 0.250 0.250 0.750 1
# calculated formation energy = 1.540 eV/atom
# DFT total energy = -32.68 eV per cell
# theoretical density = 11.3 g/cm³
# M_tot = 0.0 μB per formula unit
# distance to the lowest polymorph of the same formula = 30 meV/atom


# Sr2In4Pt3 (PBE, optimized geometry)
data_Sr2In4Pt3
_cell_length_a 14.9372
_cell_length_b 14.9372
_cell_length_c 4.5489
_cell_angle_alpha 90.00
_cell_angle_beta 90.00
_cell_angle_gamma 120.00
_space_group_name_H-M_alt 'P -6 2 m'
_space_group_IT_number 189
_space_group_name_Hall 'P -6 -2'
loop_
_atom_site_label
_atom_site_fract_x
_atom_site_fract_y
_atom_site_fract_z
_atom_site_occupancy
Sr1 0.0000 0.1863 0.0000 1
Sr2 0.0000 0.5511 0.5000 1
Sr3 0.3333 0.6667 0.5000 1
In1 0.0000 0.0000 0.5000 1
In2 0.0000 0.7220 0.0000 1
In3 0.1256 0.4799 0.0000 1
In4 0.1828 0.8047 0.5000 1
Pt1 0.0000 0.3510 0.5000 1
Pt2 0.0000 0.8198 0.5000 1
Pt3 0.1693 0.6861 0.0000 1
# calculated formation energy = -0.689 eV/atom
# DFT total energy = -155.22 eV per cell
# theoretical density = 9.2 g/cm³


Q: Among the records above, which one has the lowest theoretical density?
A: IrN4Cl6